No. 1
NiH15IO12 | PBE with a Hubbard U | relaxed

abc: 5.6149 9.8267 10.5818
angles: 90.00 90.00 96.30
Atoms (fractional coordinates):
Ni (0.7732, 0.3395, 0.3166)
Ni (0.2732, 0.8395, 0.6834)
H (0.8235, 0.9032, 0.3321)
H (0.3235, 0.4032, 0.6679)
H (0.8231, 0.6016, 0.3837)
H (0.3231, 0.1016, 0.6163)
H (0.3074, 0.6466, 0.5538)
H (0.8074, 0.1466, 0.4462)
H (0.4094, 0.5886, 0.1276)
H (0.9094, 0.0886, 0.8724)
H (0.9654, 0.8577, 0.4973)
H (0.4654, 0.3577, 0.5027)
H (0.5767, 0.4679, 0.1261)
H (0.0767, 0.9679, 0.8739)
H (0.3380, 0.6941, 0.3010)
H (0.8380, 0.1941, 0.6990)
H (0.9081, 0.6398, 0.1304)
H (0.4081, 0.1398, 0.8696)
H (0.1120, 0.0848, 0.0541)
H (0.6120, 0.5848, 0.9459)
H (0.3938, 0.0156, 0.4972)
H (0.8938, 0.5156, 0.5028)
H (0.1026, 0.2540, 0.1698)
H (0.6026, 0.7540, 0.8302)
H (0.6402, 0.8739, 0.1218)
H (0.1402, 0.3739, 0.8782)
H (0.0775, 0.6599, 0.0151)
H (0.5775, 0.1599, 0.9849)
H (0.0339, 0.3896, 0.0974)
H (0.5339, 0.8896, 0.9026)
H (0.8390, 0.7702, 0.6163)
H (0.3390, 0.2702, 0.3837)
I (0.2675, 0.9314, 0.2288)
I (0.7675, 0.4314, 0.7712)
O (0.5718, 0.5677, 0.1067)
O (0.0718, 0.0677, 0.8933)
O (0.8974, 0.5192, 0.4059)
O (0.3974, 0.0192, 0.5941)
O (0.9604, 0.8465, 0.5961)
O (0.4604, 0.3465, 0.4039)
O (0.0774, 0.6658, 0.1078)
O (0.5774, 0.1658, 0.8922)
O (0.0671, 0.3544, 0.1822)
O (0.5671, 0.8544, 0.8178)
O (0.9722, 0.8687, 0.3597)
O (0.4722, 0.3687, 0.6403)
O (0.1579, 0.1067, 0.1441)
O (0.6579, 0.6067, 0.8559)
O (0.9199, 0.5442, 0.6545)
O (0.4199, 0.0442, 0.3455)
O (0.4417, 0.7803, 0.3098)
O (0.9417, 0.2803, 0.6902)
O (0.4211, 0.7106, 0.6005)
O (0.9211, 0.2106, 0.3995)
O (0.6386, 0.3105, 0.1626)
O (0.1386, 0.8105, 0.8374)
O (0.5448, 0.9474, 0.0972)
O (0.0448, 0.4474, 0.9028)

Results
* raw total energy: -272.893 eV/cell
* calculated formation energy: -99 kJ per mole of atoms

No. 2
LaMgMnCrO6 | PBE with a Hubbard U | relaxed

abc: 5.4660 5.3316 9.2940
angles: 55.24 90.00 90.00
Atoms (fractional coordinates):
La (0.2161, 0.7420, 0.2504)
La (0.7839, 0.7420, 0.7504)
Mg (0.6919, 0.2733, 0.2515)
Mg (0.3081, 0.2733, 0.7515)
Mn (0.2517, 0.5011, 0.9990)
Mn (0.7483, 0.5011, 0.4990)
Cr (0.2482, 0.9993, 0.5021)
Cr (0.7518, 0.9993, 0.0021)
O (0.7024, 0.1777, 0.7451)
O (0.4737, 0.7185, 0.0518)
O (0.4811, 0.3340, 0.4444)
O (0.9512, 0.6290, 0.0574)
O (0.9426, 0.2548, 0.4430)
O (0.2307, 0.8703, 0.7552)
O (0.2976, 0.1777, 0.2451)
O (0.5263, 0.7185, 0.5518)
O (0.5189, 0.3340, 0.9444)
O (0.0488, 0.6290, 0.5574)
O (0.0574, 0.2548, 0.9430)
O (0.7693, 0.8703, 0.2552)

Results
* raw total energy: -148.419 eV/cell
* calculated formation energy: -260 kJ per mole of atoms

No. 3
MgTi2Ni2O6 | PBE with a Hubbard U | relaxed

abc: 5.1412 5.8856 5.1196
angles: 114.74 61.14 117.22
Atoms (fractional coordinates):
Mg (0.7126, 0.1221, 0.7089)
Ti (0.1794, 0.4930, 0.1414)
Ti (0.5131, 0.5617, 0.5424)
Ni (0.3451, 0.0394, 0.3448)
Ni (0.9168, 0.7949, 0.9457)
O (0.1392, 0.3066, 0.4169)
O (0.5249, 0.7802, 0.3136)
O (0.3185, 0.7942, 0.9260)
O (0.7661, 0.3172, 0.1331)
O (0.4215, 0.2929, 0.7534)
O (0.9231, 0.7916, 0.5462)

Results
* raw total energy: -75.599 eV/cell
* calculated formation energy: -229 kJ per mole of atoms

No. 4
Rb2FeH2Br5O | PBE with a Hubbard U | relaxed

abc: 7.6337 10.4965 14.7587
angles: 90.00 90.00 90.00
Atoms (fractional coordinates):
Rb (0.8441, 0.5017, 0.8561)
Rb (0.1559, 0.4983, 0.1439)
Rb (0.3441, 0.4983, 0.6439)
Rb (0.1559, 0.0017, 0.1439)
Rb (0.6559, 0.5017, 0.3561)
Rb (0.8441, 0.9983, 0.8561)
Rb (0.6559, 0.9983, 0.3561)
Rb (0.3441, 0.0017, 0.6439)
Fe (0.8057, 0.7500, 0.6131)
Fe (0.1943, 0.2500, 0.3869)
Fe (0.3057, 0.2500, 0.8869)
Fe (0.6943, 0.7500, 0.1131)
H (0.9661, 0.1737, 0.5272)
H (0.0339, 0.8263, 0.4728)
H (0.4661, 0.8263, 0.9728)
H (0.0339, 0.6737, 0.4728)
H (0.5339, 0.1737, 0.0272)
H (0.9661, 0.3263, 0.5272)
H (0.5339, 0.3263, 0.0272)
H (0.4661, 0.6737, 0.9728)
Br (0.0691, 0.7500, 0.7203)
Br (0.9309, 0.2500, 0.2797)
Br (0.5691, 0.2500, 0.7797)
Br (0.4309, 0.7500, 0.2203)
Br (0.8187, 0.5049, 0.6025)
Br (0.1813, 0.4951, 0.3975)
Br (0.3187, 0.4951, 0.8975)
Br (0.1813, 0.0049, 0.3975)
Br (0.6813, 0.5049, 0.1025)
Br (0.8187, 0.9951, 0.6025)
Br (0.6813, 0.9951, 0.1025)
Br (0.3187, 0.0049, 0.8975)
Br (0.6005, 0.7500, 0.7485)
Br (0.3995, 0.2500, 0.2515)
Br (0.1005, 0.2500, 0.7515)
Br (0.8995, 0.7500, 0.2485)
Br (0.5354, 0.7500, 0.5069)
Br (0.4646, 0.2500, 0.4931)
Br (0.0354, 0.2500, 0.9931)
Br (0.9646, 0.7500, 0.0069)
O (0.9747, 0.7500, 0.4973)
O (0.0253, 0.2500, 0.5027)
O (0.4747, 0.2500, 0.0027)
O (0.5253, 0.7500, 0.9973)

Results
* raw total energy: -161.129 eV/cell
* calculated formation energy: -113 kJ per mole of atoms

No. 5
Fe6O11F | PBE with a Hubbard U | relaxed

abc: 5.5043 5.5043 7.1181
angles: 72.28 72.28 73.89
Atoms (fractional coordinates):
Fe (0.3360, 0.6640, 0.0000)
Fe (0.0019, 0.3280, 0.8341)
Fe (0.3130, 0.6870, 0.5000)
Fe (0.0144, 0.3329, 0.3267)
Fe (0.6671, 0.9856, 0.6733)
Fe (0.6720, 0.9981, 0.1659)
O (0.3108, 0.0170, 0.8339)
O (0.5625, 0.9017, 0.4602)
O (0.9033, 0.2270, 0.1295)
O (0.2262, 0.5640, 0.7943)
O (0.4360, 0.7738, 0.2057)
O (0.0983, 0.4375, 0.5398)
O (0.7730, 0.0967, 0.8705)
O (0.0129, 0.9871, 0.5000)
O (0.6863, 0.6296, 0.8398)
O (0.3704, 0.3137, 0.1602)
O (0.9830, 0.6892, 0.1661)
F (0.6329, 0.3671, 0.5000)

Results
* raw total energy: -110.776 eV/cell
* calculated formation energy: -135 kJ per mole of atoms

No. 6
NaLi5Fe2P2C2O14 | PBE with a Hubbard U | relaxed

abc: 6.6070 8.5904 9.9823
angles: 87.74 89.62 89.59
Atoms (fractional coordinates):
Na (0.7467, 0.0847, 0.8767)
Na (0.0026, 0.2513, 0.1241)
Li (0.7387, 0.0877, 0.3765)
Li (0.9812, 0.2699, 0.6109)
Li (0.5229, 0.2714, 0.6149)
Li (0.5173, 0.2726, 0.1158)
Li (0.4784, 0.7290, 0.8881)
Li (0.0228, 0.7277, 0.8880)
Li (0.4861, 0.7342, 0.3859)
Li (0.0129, 0.7349, 0.3845)
Li (0.2506, 0.9065, 0.6252)
Li (0.2610, 0.9060, 0.1274)
Fe (0.2545, 0.3536, 0.8844)
Fe (0.2502, 0.3478, 0.3928)
Fe (0.7485, 0.6561, 0.6132)
Fe (0.7500, 0.6478, 0.1120)
P (0.7505, 0.4180, 0.8496)
P (0.7444, 0.4108, 0.3560)
P (0.2495, 0.5933, 0.6448)
P (0.2540, 0.5909, 0.1455)
C (0.2516, 0.0418, 0.8640)
C (0.2532, 0.0408, 0.3650)
C (0.7501, 0.9612, 0.6275)
C (0.7411, 0.9449, 0.1460)
O (0.7537, 0.1100, 0.6441)
O (0.7227, 0.0930, 0.1647)
O (0.2488, 0.0815, 0.9881)
O (0.2501, 0.0834, 0.4882)
O (0.2577, 0.1502, 0.7688)
O (0.2597, 0.1476, 0.2685)
O (0.9402, 0.3246, 0.8953)
O (0.5684, 0.3227, 0.9067)
O (0.9347, 0.3120, 0.3965)
O (0.5646, 0.3118, 0.4124)
O (0.7427, 0.4263, 0.6924)
O (0.2502, 0.4236, 0.5955)
O (0.7301, 0.4257, 0.1995)
O (0.2698, 0.4256, 0.0891)
O (0.7492, 0.5875, 0.8989)
O (0.2497, 0.5823, 0.8020)
O (0.7487, 0.5769, 0.4102)
O (0.2469, 0.5747, 0.3021)
O (0.4327, 0.6908, 0.5928)
O (0.0643, 0.6898, 0.5937)
O (0.4333, 0.6963, 0.0980)
O (0.0658, 0.6824, 0.0923)
O (0.7486, 0.8633, 0.7308)
O (0.7527, 0.8466, 0.2478)
O (0.7477, 0.9068, 0.5084)
O (0.7490, 0.8903, 0.0266)
O (0.2490, 0.8966, 0.8325)
O (0.2502, 0.8951, 0.3351)

Results
* raw total energy: -344.974 eV/cell
* calculated formation energy: -224 kJ per mole of atoms

Q: Among the records above, which one has the highest calculated formation energy?
A: NiH15IO12